1.
A plane-wave DFT calculation with PBE-GGA was carried out for Ba2MoN3 after structural relaxation.

extended XYZ file:
```
24
Lattice="6.678 -0.023 0.093 -10.549 5.466 0.000 -0.189 -0.364 13.385" Properties=species:S:1:pos:R:3 pbc="T T T"
Ba 2.518 0.013 11.621
Ba -1.347 2.247 4.929
Ba -3.439 3.465 1.192
Ba -0.620 1.613 12.286
Ba -2.712 2.831 8.549
Ba 1.770 0.606 5.594
Ba -5.829 4.472 7.884
Ba -6.577 5.065 1.857
N -1.011 2.201 1.719
N 2.287 0.261 8.412
N -5.613 2.562 10.039
N 1.637 0.839 0.745
N -5.125 2.540 3.346
N -3.048 2.877 11.759
N -10.417 5.282 3.346
N -3.706 3.439 6.040
N -6.346 4.817 5.066
N -0.320 -0.181 10.039
N -0.353 1.639 7.438
N -5.697 4.239 12.733
Mo 0.680 1.062 8.909
Mo -4.629 3.727 11.261
Mo 0.570 1.351 2.217
Mo -4.740 4.016 4.569
```

## Properties
DFT formation energy, eV/f.u.: -5.74
E_tot, eV/cell: -177.38


2.
A plane-wave DFT calculation with PBE-GGA was carried out for Ba3Mo2N4 after structural relaxation.

extended XYZ file:
```
18
Lattice="-0.483 -0.970 -7.827 -1.492 -6.576 6.567 -5.629 1.650 0.373" Properties=species:S:1:pos:R:3 pbc="T T T"
Ba -5.116 -2.704 4.216
Ba -3.504 -0.999 -0.069
Ba -5.805 0.820 -5.517
Ba -4.101 -4.898 -0.818
Ba -1.799 -6.717 4.629
Ba -2.005 -2.222 2.724
N -4.571 -5.658 4.235
N -6.776 -3.502 -0.853
N -5.766 -0.958 -2.840
N -3.034 -0.238 -5.123
N -1.838 -4.938 1.953
N -4.526 -3.558 1.585
N -0.828 -2.394 -0.034
N -3.078 -2.339 -2.472
Mo -6.205 -2.714 0.926
Mo -3.764 -5.189 2.386
Mo -1.400 -3.182 -1.813
Mo -3.840 -0.708 -3.273
```

## Properties
DFT formation energy, eV/f.u.: -5.25
Energy above the lowest structure with this stoichiometry, eV per formula unit: 1.24
E_tot, eV/cell: -129.20


Corrected total energy (MP2020 scheme), record by record: -7.57 -7.34 eV/atom